1.
An optimized crystal structure of MgSc4Si4O14. Source: the Materials Project, functional PBE.

a b c (Å): 7.1144 7.1144 7.1144
angles (deg): 127.81 113.56 89.26
Last column: nearest neighbours and their distance in Å.
Sites, in units of the cell vectors:
Mg 0.0000 0.0000 0.0000  6 O 1.94-2.06
Sc 0.2971 0.5590 0.7382  4 O 2.10-2.28
Sc 0.3304 0.0939 0.7635  3 O 2.04-2.19
Sc 0.3304 0.5670 0.2365  3 O 2.04-2.19
Sc 0.8208 0.5590 0.2618  4 O 2.10-2.28
Si 0.3741 0.0705 0.3036  5 O 1.71-1.77
Si 0.7669 0.0705 0.6964  5 O 1.71-1.77
Si 0.7865 0.0528 0.2663  4 O 1.66-1.73
Si 0.7865 0.5202 0.7337  4 O 1.66-1.73
O 0.1814 0.1700 0.4061  1 Si 1.75
O 0.1814 0.7753 0.0114  1 Si 1.75
O 0.1893 0.6893 0.5000  4 Sc 2.18-2.28
O 0.1912 0.1912 0.0000  1 Mg 1.94, 2 Sc 2.04
O 0.4900 0.4900 0.0000  4 Sc 2.16-2.19
O 0.4953 0.9953 0.5000  2 Si 1.71
O 0.5192 0.3942 0.5326  2 Si 1.66-1.77
O 0.5192 0.9866 0.1250  2 Si 1.66-1.77
O 0.7638 0.1700 0.9886  1 Si 1.75
O 0.7638 0.7753 0.5939  1 Si 1.75
O 0.8025 0.8025 0.0000  2 Si 1.67
O 0.8616 0.3942 0.8750  2 Si 1.66-1.77
O 0.8616 0.9866 0.4674  2 Si 1.66-1.77
O 0.8779 0.3779 0.5000  2 Si 1.73

Values from the calculation:
- ΔH_f (0 K) (eV per atom) = -3.10
- uncorrected energy (eV/atom) = -7.81

---

2.
An optimized crystal structure of K2TmCuCl6. Source: the Materials Project, functional PBE.

a b c (Å): 7.2728 7.2728 7.2728
angles (deg): 60.00 60.00 60.00
Last column: nearest neighbours and their distance in Å.
Sites, in units of the cell vectors:
K 0.2500 0.2500 0.2500  12 Cl 3.64
K 0.7500 0.7500 0.7500  12 Cl 3.64
Tm 0.0000 0.0000 0.0000  6 Cl 2.60
Cu 0.5000 0.5000 0.5000  6 Cl 2.55
Cl 0.2524 0.2524 0.7476  1 Cu 2.55, 1 Tm 2.60
Cl 0.2524 0.7476 0.2524  1 Cu 2.55, 1 Tm 2.60
Cl 0.2524 0.7476 0.7476  1 Cu 2.55, 1 Tm 2.60
Cl 0.7476 0.2524 0.2524  1 Cu 2.55, 1 Tm 2.60
Cl 0.7476 0.2524 0.7476  1 Cu 2.55, 1 Tm 2.60
Cl 0.7476 0.7476 0.2524  1 Cu 2.55, 1 Tm 2.60

Values from the calculation:
- ΔH_f (0 K) (eV per atom) = -2.11
- uncorrected energy (eV/atom) = -3.93

---

3.
An optimized crystal structure of LiBi2S3O12. Source: the Materials Project, functional PBE.

a b c (Å): 8.9416 9.8598 15.5113
angles (deg): 90.00 124.72 90.00
Last column: nearest neighbours and their distance in Å.
Sites, in units of the cell vectors:
Li 0.0088 0.2265 0.3212  4 O 1.93-2.08
Li 0.0088 0.2735 0.8212  4 O 1.93-2.08
Li 0.9912 0.7265 0.1788  4 O 1.93-2.08
Li 0.9912 0.7735 0.6788  4 O 1.93-2.08
Bi 0.1885 0.5505 0.4025  4 O 2.34-2.58
Bi 0.1885 0.9495 0.9025  4 O 2.34-2.58
Bi 0.3746 0.5364 0.1165  6 O 2.33-2.47
Bi 0.3746 0.9636 0.6165  6 O 2.33-2.47
Bi 0.6254 0.0364 0.3835  6 O 2.33-2.47
Bi 0.6254 0.4636 0.8835  6 O 2.33-2.47
Bi 0.8115 0.0505 0.0975  4 O 2.34-2.58
Bi 0.8115 0.4495 0.5975  4 O 2.34-2.58
S 0.0447 0.0974 0.6568  4 O 1.47-1.52
S 0.0447 0.4026 0.1568  4 O 1.47-1.52
S 0.2405 0.6222 0.6503  4 O 1.49-1.50
S 0.2405 0.8778 0.1503  4 O 1.49-1.50
S 0.4376 0.2231 0.4946  4 O 1.46-1.51
S 0.4376 0.2769 0.9946  4 O 1.46-1.51
S 0.5624 0.7231 0.0054  4 O 1.46-1.51
S 0.5624 0.7769 0.5054  4 O 1.46-1.51
S 0.7595 0.1222 0.8497  4 O 1.49-1.50
S 0.7595 0.3778 0.3497  4 O 1.49-1.50
S 0.9553 0.5974 0.8432  4 O 1.47-1.52
S 0.9553 0.9026 0.3432  4 O 1.47-1.52
O 0.0651 0.2138 0.7217  1 S 1.47
O 0.0651 0.2862 0.2217  1 S 1.47
O 0.0893 0.5325 0.2202  1 S 1.52
O 0.0893 0.9675 0.7202  1 S 1.52
O 0.1045 0.5912 0.6750  1 S 1.50
O 0.1045 0.9088 0.1750  1 S 1.50
O 0.1457 0.5874 0.9380  1 S 1.49
O 0.1457 0.9126 0.4380  1 S 1.49
O 0.1507 0.6097 0.5352  1 S 1.49
O 0.1507 0.8903 0.0352  1 S 1.49
O 0.1714 0.1111 0.6239  1 S 1.49
O 0.1714 0.3889 0.1239  1 S 1.49
O 0.2443 0.2234 0.4537  1 S 1.46
O 0.2443 0.2766 0.9537  1 S 1.46
O 0.3006 0.7344 0.1836  1 S 1.50
O 0.3006 0.7656 0.6836  1 S 1.50
O 0.3972 0.5263 0.7061  1 S 1.49
O 0.3972 0.9737 0.2061  1 S 1.49
O 0.4643 0.1986 0.4086  1 S 1.50
O 0.4643 0.3014 0.9086  1 S 1.50
O 0.4672 0.6152 0.9226  1 S 1.50
O 0.4672 0.8848 0.4226  1 S 1.50
O 0.4791 0.6411 0.4577  1 S 1.51
O 0.4791 0.8589 0.9577  1 S 1.51
O 0.5209 0.1411 0.0423  1 S 1.51
O 0.5209 0.3589 0.5423  1 S 1.51
O 0.5328 0.1152 0.5774  1 S 1.50
O 0.5328 0.3848 0.0774  1 S 1.50
O 0.5357 0.6986 0.0914  1 S 1.50
O 0.5357 0.8014 0.5914  1 S 1.50
O 0.6028 0.0263 0.7939  1 S 1.49
O 0.6028 0.4737 0.2939  1 S 1.49
O 0.6994 0.2344 0.3164  1 S 1.50
O 0.6994 0.2656 0.8164  1 S 1.50
O 0.7557 0.7234 0.0463  1 S 1.46
O 0.7557 0.7766 0.5463  1 S 1.46
O 0.8286 0.6111 0.8761  1 S 1.49
O 0.8286 0.8889 0.3761  1 S 1.49
O 0.8493 0.1097 0.9648  1 S 1.49
O 0.8493 0.3903 0.4648  1 S 1.49
O 0.8543 0.0874 0.5620  1 S 1.49
O 0.8543 0.4126 0.0620  1 S 1.49
O 0.8955 0.0912 0.8250  1 S 1.50
O 0.8955 0.4088 0.3250  1 S 1.50
O 0.9107 0.0325 0.2798  1 S 1.52
O 0.9107 0.4675 0.7798  1 S 1.52
O 0.9349 0.7138 0.7783  1 S 1.47
O 0.9349 0.7862 0.2783  1 S 1.47

Values from the calculation:
- ΔH_f (0 K) (eV per atom) = -1.84
- uncorrected energy (eV/atom) = -5.90

---

4.
An optimized crystal structure of KGdH2C2SO9. Source: the Materials Project, functional PBE.

a b c (Å): 6.6476 8.7093 14.9894
angles (deg): 90.00 112.32 90.00
Last column: nearest neighbours and their distance in Å.
Sites, in units of the cell vectors:
K 0.0290 0.1525 0.3011  8 O 2.79-3.10
K 0.0290 0.3475 0.8011  8 O 2.79-3.10
K 0.9710 0.6525 0.1989  8 O 2.79-3.10
K 0.9710 0.8475 0.6989  8 O 2.79-3.10
Gd 0.3352 0.2384 0.5885  8 O 2.34-2.49
Gd 0.3352 0.2616 0.0885  8 O 2.34-2.49
Gd 0.6648 0.7384 0.9115  8 O 2.34-2.49
Gd 0.6648 0.7616 0.4115  8 O 2.34-2.49
H 0.0462 0.0437 0.9238  1 O 0.98
H 0.0462 0.4563 0.4238  1 O 0.98
H 0.2779 0.0454 0.9197  1 O 0.99
H 0.2779 0.4546 0.4197  1 O 0.99
H 0.7221 0.5454 0.5803  1 O 0.99
H 0.7221 0.9546 0.0803  1 O 0.99
H 0.9538 0.5437 0.5762  1 O 0.98
H 0.9538 0.9563 0.0762  1 O 0.98
C 0.3642 0.5297 0.7313  2 O 1.27
C 0.3642 0.9703 0.2313  2 O 1.27
C 0.4158 0.0347 0.7802  2 O 1.26-1.27
C 0.4158 0.4653 0.2802  2 O 1.26-1.27
C 0.5842 0.5347 0.7198  2 O 1.26-1.27
C 0.5842 0.9653 0.2198  2 O 1.26-1.27
C 0.6358 0.0297 0.7687  2 O 1.27
C 0.6358 0.4703 0.2687  2 O 1.27
S 0.2558 0.6621 0.0221  4 O 1.47-1.50
S 0.2558 0.8379 0.5221  4 O 1.47-1.50
S 0.7442 0.1621 0.4779  4 O 1.47-1.50
S 0.7442 0.3379 0.9779  4 O 1.47-1.50
O 0.0456 0.7310 0.9571  1 S 1.49
O 0.0456 0.7690 0.4571  1 S 1.49
O 0.1834 0.1014 0.9463  2 H 0.98-0.99
O 0.1834 0.3986 0.4463  2 H 0.98-0.99
O 0.2179 0.0550 0.1726  1 C 1.27
O 0.2179 0.4450 0.6726  1 C 1.27
O 0.2482 0.0077 0.5026  1 S 1.50
O 0.2482 0.4923 0.0026  1 S 1.50
O 0.2713 0.1238 0.7255  1 C 1.26
O 0.2713 0.3762 0.2255  1 C 1.26
O 0.2933 0.6902 0.1241  1 S 1.47
O 0.2933 0.8098 0.6241  1 S 1.47
O 0.3448 0.6078 0.7988  1 C 1.27
O 0.3448 0.8922 0.2988  1 C 1.27
O 0.3942 0.5531 0.3439  1 C 1.27
O 0.3942 0.9469 0.8439  1 C 1.27
O 0.4334 0.7332 0.9985  1 S 1.49
O 0.4334 0.7668 0.4985  1 S 1.49
O 0.5666 0.2332 0.5015  1 S 1.49
O 0.5666 0.2668 0.0015  1 S 1.49
O 0.6058 0.0531 0.1561  1 C 1.27
O 0.6058 0.4469 0.6561  1 C 1.27
O 0.6552 0.1078 0.7012  1 C 1.27
O 0.6552 0.3922 0.2012  1 C 1.27
O 0.7067 0.1902 0.3759  1 S 1.47
O 0.7067 0.3098 0.8759  1 S 1.47
O 0.7287 0.6238 0.7745  1 C 1.26
O 0.7287 0.8762 0.2745  1 C 1.26
O 0.7518 0.5077 0.9974  1 S 1.50
O 0.7518 0.9923 0.4974  1 S 1.50
O 0.7821 0.5550 0.3274  1 C 1.27
O 0.7821 0.9450 0.8274  1 C 1.27
O 0.8166 0.6014 0.5537  2 H 0.98-0.99
O 0.8166 0.8986 0.0537  2 H 0.98-0.99
O 0.9544 0.2310 0.5429  1 S 1.49
O 0.9544 0.2690 0.0429  1 S 1.49

Values from the calculation:
- ΔH_f (0 K) (eV per atom) = -2.13
- uncorrected energy (eV/atom) = -7.32